A relaxed Hf3Sn crystal, computed with PBE-GGA.

abc: 4.3248 4.3248 9.4350
angles: 90.00 90.00 90.00
Last column: nearest neighbours and their distance in Å.
Space group I4/mmm (No. 139)
Unique sites:
Hf: 0.0000 0.0000 0.0000  4 Sn 3.06, 8 Hf 3.20
Hf: 0.0000 0.5000 0.2500  8 Hf 3.06-3.20, 4 Sn 3.20
Sn: 0.0000 0.0000 0.5000  12 Hf 3.06-3.20

Computed properties:
Energy: -8.712 eV/atom
Crystal system: tetragonal
Energy relative to the elements: -0.24 eV per atom



A relaxed Hf3Sn crystal, computed with PBE-GGA.

abc: 4.4373 4.4373 4.4373
angles: 90.00 90.00 90.00
Last column: nearest neighbours and their distance in Å.
Space group Pm-3m (No. 221)
Unique sites:
Hf: 0.0000 0.0000 0.5000  8 Hf 3.14, 4 Sn 3.14
Sn: 0.5000 0.5000 0.5000  12 Hf 3.14

Computed properties:
Energy: -8.715 eV/atom
Crystal system: cubic
Energy relative to the elements: -0.24 eV per atom



A relaxed Hf3Sn crystal, computed with PBE-GGA.

abc: 6.2728 6.2728 5.1116
angles: 90.00 90.00 120.00
Last column: nearest neighbours and their distance in Å.
Space group P6_3/mmc (No. 194)
Unique sites:
Hf: 0.1663 0.3325 0.2500  8 Hf 3.13-3.14, 4 Sn 3.13-3.14
Sn: 0.3333 0.6667 0.7500  12 Hf 3.13-3.14

Computed properties:
Energy: -8.710 eV/atom
Crystal system: hexagonal
Energy relative to the elements: -0.24 eV per atom



A relaxed HfTa crystal, computed with PBE-GGA.

abc: 3.4255 4.7992 4.8476
angles: 90.00 90.00 90.00
Last column: nearest neighbours and their distance in Å.
Space group Cmmm (No. 65)
Unique sites:
Hf: 0.0000 0.0000 0.0000  4 Hf 2.95, 4 Ta 2.97
Ta: 0.0000 0.5000 0.5000  4 Ta 2.95, 4 Hf 2.97

Computed properties:
Energy: -10.750 eV/atom
Crystal system: orthorhombic
Energy relative to the elements: 0.16 eV per atom
Magnetization: 0.0 μB per cell



A relaxed HfTc crystal, computed with PBE-GGA.

abc: 3.2660 3.2660 3.2660
angles: 90.00 90.00 90.00
Last column: nearest neighbours and their distance in Å.
Space group Pm-3m (No. 221)
Unique sites:
Hf: 0.0000 0.0000 0.0000  8 Tc 2.83
Tc: 0.5000 0.5000 0.5000  8 Hf 2.83

Computed properties:
Energy: -10.643 eV/atom
Crystal system: cubic
Energy relative to the elements: -0.48 eV per atom



A relaxed HfTc2 crystal, computed with PBE-GGA.

abc: 5.2019 5.2019 8.6821
angles: 90.00 90.00 120.00
Last column: nearest neighbours and their distance in Å.
Space group P6_3/mmc (No. 194)
Unique sites:
Hf: 0.3333 0.6667 0.0644  12 Tc 3.05-3.09, 4 Hf 3.20-3.22
Tc: 0.0000 0.0000 0.0000  6 Tc 2.67
Tc: 0.1724 0.3449 0.7500  6 Tc 2.51-2.69

Computed properties:
Energy: -10.588 eV/atom
Crystal system: hexagonal
Energy relative to the elements: -0.36 eV per atom